A relaxed structure of Li4Ti2Fe5O12, computed with PBE+U.

Cell lengths 5.1122, 9.2140, 9.9695 Å; angles 90.00, 101.45, 90.00 degrees
Space group P2_1 (No. 4)
One atom of each set of equivalent atoms:
Li (0.0022, 0.0000, 0.2455) (multiplicity 2)
Li (0.0069, 0.8338, 0.7585) (multiplicity 2)
Li (0.2562, 0.9947, 0.9996) (multiplicity 2)
Li (0.4961, 0.8351, 0.2461) (multiplicity 2)
Ti (0.2579, 0.1629, 0.5127) (multiplicity 2)
Ti (0.2589, 0.6593, 0.0131) (multiplicity 2)
Fe (0.0036, 0.1552, 0.7526) (multiplicity 2)
Fe (0.2503, 0.8358, 0.5076) (multiplicity 2)
Fe (0.2520, 0.3359, 0.0054) (multiplicity 2)
Fe (0.2667, 0.4909, 0.4960) (multiplicity 2)
Fe (0.4967, 0.1660, 0.2495) (multiplicity 2)
O (0.1220, 0.8165, 0.1134) (multiplicity 2)
O (0.1249, 0.5028, 0.1081) (multiplicity 2)
O (0.1277, 0.1744, 0.1182) (multiplicity 2)
O (0.1316, 0.0060, 0.6122) (multiplicity 2)
O (0.1366, 0.6568, 0.6230) (multiplicity 2)
O (0.1400, 0.3153, 0.6178) (multiplicity 2)
O (0.3486, 0.3094, 0.3789) (multiplicity 2)
O (0.3605, 0.0148, 0.3710) (multiplicity 2)
O (0.3636, 0.5062, 0.8855) (multiplicity 2)
O (0.3767, 0.8048, 0.8809) (multiplicity 2)
O (0.3811, 0.6751, 0.3845) (multiplicity 2)
O (0.3837, 0.1800, 0.8848) (multiplicity 2)

## Properties
Total energy = -6.86 eV per atom
Total energy after the MP2020 corrections = -7.70 eV/atom
Density = 4.29 g/cm3
Energy of formation = -52.19 kcal/mol of atoms